i) The following is a PBE-GGA calculation of an optimized crystal structure of Al3Pb5F19, from the Materials Project database.

abc: 20.479 20.479 7.312
angles: 90.00 90.00 90.00
Space group P4/n (No. 85, origin choice 2)
Symmetry-distinct sites (fractional):
1 Al 0.009 0.167 0.009
2 Al 0.009 0.665 0.494
3 Al 0.250 0.250 0.243
4 Al 0.250 0.250 0.748
5 Al 0.250 0.750 0.253
6 Pb 0.007 0.018 0.754
7 Pb 0.085 0.327 0.011
8 Pb 0.089 0.829 0.506
9 Pb 0.110 0.174 0.506
10 Pb 0.111 0.669 0.998
11 F 0.009 0.248 0.532
12 F 0.013 0.747 0.022
13 F 0.019 0.106 0.506
14 F 0.021 0.601 0.992
15 F 0.029 0.577 0.515
16 F 0.034 0.081 0.041
17 F 0.050 0.861 0.169
18 F 0.052 0.360 0.681
19 F 0.055 0.346 0.336
20 F 0.057 0.847 0.826
21 F 0.067 0.191 0.183
22 F 0.070 0.683 0.666
23 F 0.074 0.172 0.839
24 F 0.074 0.669 0.324
25 F 0.167 0.281 0.741
26 F 0.167 0.783 0.247
27 F 0.168 0.782 0.753
28 F 0.170 0.287 0.250
29 F 0.250 0.250 0.496
30 F 0.250 0.250 0.995
31 F 0.250 0.750 0.000
32 F 0.250 0.750 0.500

ii) The following is a PBE-GGA calculation of an optimized crystal structure of Al3Pb5F19, from the Materials Project database.

abc: 14.370 14.370 7.579
angles: 90.00 90.00 90.00
Space group I4cm (No. 108)
Symmetry-distinct sites (fractional):
1 Al 0.000 0.000 0.000
2 Al 0.161 0.339 0.296
3 Pb 0.000 0.500 0.455
4 Pb 0.074 0.225 0.837
5 F 0.000 0.000 0.245
6 F 0.053 0.114 0.492
7 F 0.069 0.305 0.456
8 F 0.077 0.423 0.208
9 F 0.112 0.251 0.144
10 F 0.115 0.385 0.829
11 F 0.245 0.255 0.371

Of them, i) has the lowest stability.

i) The following is a PBE-GGA calculation of an optimized crystal structure of Rb2Tb3AlF16, from the Materials Project database.

abc: 7.8108 7.8108 12.7657
angles: 90.00 90.00 120.00
Space group P6_3/mmc (No. 194)
Symmetry-distinct sites (fractional):
1 Rb 0.3333 0.6667 0.0642
2 Tb 0.1672 0.3344 0.7500
3 Al 0.0000 0.0000 0.0000
4 F 0.0000 0.0000 0.2500
5 F 0.0998 0.5499 0.6543
6 F 0.1121 0.2242 0.5799
7 F 0.1827 0.3654 0.2500

ii) The following is a PBE-GGA calculation of an optimized crystal structure of Rb2Tb3AlF16, from the Materials Project database.

abc: 7.5711 7.5711 13.1190
angles: 90.00 90.00 120.00
Space group P6_3/mmc (No. 194)
Symmetry-distinct sites (fractional):
1 Rb 0.3333 0.6667 0.0588
2 Tb 0.1720 0.3440 0.7500
3 Al 0.0000 0.0000 0.0000
4 F 0.0000 0.0000 0.2500
5 F 0.1018 0.5509 0.6526
6 F 0.1142 0.2284 0.0788
7 F 0.1885 0.3769 0.2500

Of them, ii) has the lowest stability.

i) The following is a PBE-GGA calculation of an optimized crystal structure of AlFe2S4, from the Materials Project database.

abc: 9.808 9.697 6.848
angles: 90.00 134.14 90.00
Space group C2/c (No. 15)
Symmetry-distinct sites (fractional):
1 Al 0.250 0.250 0.000
2 Fe 0.000 0.000 0.000
3 Fe 0.000 0.384 0.250
4 S 0.001 0.238 0.511
5 S 0.219 0.004 0.968

ii) The following is a PBE-GGA calculation of an optimized crystal structure of AlFe2S4, from the Materials Project database.

abc: 6.947 7.015 9.580
angles: 90.00 90.00 90.00
Space group Imma (No. 74)
Symmetry-distinct sites (fractional):
1 Al 0.000 0.000 0.000
2 Fe 0.000 0.000 0.500
3 Fe 0.250 0.250 0.250
4 S 0.000 0.032 0.248
5 S 0.243 0.250 0.010

Of them, ii) has the lowest stability.